# 1
The following is a DFT calculation (PBE-GGA) of an optimized crystal structure of LiCr2S4.

Total moment   10.0 Bohr magnetons per cell
Energy relative to the elements   -7.58 eV per formula unit
Energy   -6.19 eV/atom

Unit cell a=7.017 b=7.017 c=7.017 alpha=118.59 beta=118.59 gamma=92.46
Fractional coordinates of all 14 atoms:
1 Li 0.375 0.625 0.750
2 Li 0.625 0.375 0.250
3 Cr 0.000 0.000 0.000
4 Cr 0.000 0.000 0.500
5 Cr 0.000 0.500 0.000
6 Cr 0.500 0.000 0.500
7 S 0.218 0.247 0.971
8 S 0.224 0.753 0.471
9 S 0.247 0.218 0.471
10 S 0.247 0.776 0.029
11 S 0.753 0.224 0.971
12 S 0.753 0.782 0.529
13 S 0.776 0.247 0.529
14 S 0.782 0.753 0.029

# 2
The following is a DFT calculation (PBE-GGA) of an optimized crystal structure of FeNiSb6.

Energy relative to the elements   -2.19 eV per formula unit
Energy   -5.01 eV/atom

Unit cell a=7.899 b=7.899 c=9.129 alpha=125.17 beta=125.17 gamma=70.61
Fractional coordinates of all 16 atoms:
1 Fe 0.000 0.500 0.000
2 Fe 0.500 0.000 0.000
3 Ni 0.000 0.500 0.500
4 Ni 0.500 0.000 0.500
5 Sb 0.155 0.836 0.330
6 Sb 0.164 0.845 0.670
7 Sb 0.176 0.506 0.845
8 Sb 0.330 0.330 0.168
9 Sb 0.338 0.338 0.496
10 Sb 0.494 0.824 0.155
11 Sb 0.506 0.176 0.845
12 Sb 0.662 0.662 0.504
13 Sb 0.670 0.670 0.832
14 Sb 0.824 0.494 0.155
15 Sb 0.836 0.155 0.330
16 Sb 0.845 0.164 0.670

# 3
The following is a DFT calculation (PBE-GGA) of an optimized crystal structure of SrCaSi4.

Energy relative to the elements   -1.88 eV per formula unit
Energy   -4.59 eV/atom

Unit cell a=4.368 b=4.368 c=13.718 alpha=90.00 beta=90.00 gamma=90.00
Fractional coordinates of all 12 atoms:
1 Sr 0.000 0.000 0.000
2 Sr 0.500 0.500 0.500
3 Ca 0.000 0.500 0.750
4 Ca 0.500 0.000 0.250
5 Si 0.000 0.000 0.415
6 Si 0.000 0.000 0.585
7 Si 0.000 0.500 0.167
8 Si 0.000 0.500 0.333
9 Si 0.500 0.000 0.667
10 Si 0.500 0.000 0.833
11 Si 0.500 0.500 0.085
12 Si 0.500 0.500 0.915

# 4
The following is a DFT calculation (PBE-GGA) of an optimized crystal structure of Pb2Au.

Energy relative to the elements   -0.24 eV per formula unit
Energy   -3.65 eV/atom

Unit cell a=7.398 b=7.398 c=5.941 alpha=90.00 beta=90.00 gamma=90.00
Fractional coordinates of all 12 atoms:
1 Pb 0.159 0.341 0.000
2 Pb 0.159 0.659 0.500
3 Pb 0.341 0.159 0.500
4 Pb 0.341 0.841 0.000
5 Pb 0.659 0.159 0.000
6 Pb 0.659 0.841 0.500
7 Pb 0.841 0.341 0.500
8 Pb 0.841 0.659 0.000
9 Au 0.000 0.000 0.250
10 Au 0.000 0.000 0.750
11 Au 0.500 0.500 0.250
12 Au 0.500 0.500 0.750